Here is a relaxed structure of P2Pb3O8 from the Materials Project. Energies are from PBE-GGA.

## Properties
- Excess energy over the best structure of this formula in the dataset: 0.013 eV/atom
- V: 16.221 A^3/atom
- Calculated formation energy: -2.32 eV/atom
- M_tot: 0.0 μB per cell

abc: 9.9436 7.3891 19.8810
angles: 90.00 119.98 90.00
Space group Pc (No. 7)
Inequivalent atoms, fractional coordinates:
P: 0.0000 0.0014 0.0000 x2
P: 0.0396 0.4955 0.8931 x2
P: 0.3892 0.4957 0.6865 x2
P: 0.4122 0.0014 0.8850 x2
P: 0.6265 0.4963 0.0117 x2
P: 0.6423 0.0017 0.7062 x2
Pb: 0.0104 0.0065 0.3241 x2
Pb: 0.0096 0.4878 0.5650 x2
Pb: 0.2802 0.0091 0.2011 x2
Pb: 0.2823 0.4921 0.3247 x2
Pb: 0.3511 0.2460 0.5318 x2
Pb: 0.3518 0.2472 0.0289 x2
Pb: 0.6852 0.2660 0.8639 x2
Pb: 0.7631 0.4876 0.2015 x2
Pb: 0.7640 0.0085 0.5660 x2
O: 0.0974 0.3317 0.3697 x2
O: 0.1104 0.3289 0.8735 x2
O: 0.1147 0.4988 0.9846 x2
O: 0.1817 0.0035 0.0386 x2
O: 0.2796 0.3280 0.6509 x2
O: 0.2841 0.3326 0.1577 x2
O: 0.3350 0.0030 0.9372 x2
O: 0.3522 0.1658 0.3303 x2
O: 0.3633 0.1702 0.8305 x2
O: 0.4435 0.5003 0.4577 x2
O: 0.4854 0.4869 0.7757 x2
O: 0.4973 0.4979 0.6490 x2
O: 0.5382 0.0037 0.7442 x2
O: 0.5380 0.0049 0.6154 x2
O: 0.5922 0.0040 0.9370 x2
O: 0.6648 0.3286 0.0663 x2
O: 0.6737 0.3319 0.5642 x2
O: 0.7086 0.4878 0.9635 x2
O: 0.7515 0.1659 0.2310 x2
O: 0.7517 0.1698 0.7362 x2
O: 0.8612 0.4876 0.8522 x2
O: 0.9239 0.0036 0.9100 x2
O: 0.9405 0.1698 0.0248 x2
O: 0.9500 0.1661 0.5297 x2